(one)
The following is a DFT calculation (GGA-PBE) of a geometry-optimized LiCu2F5 structure.

Symmetry: Pnma
Theoretical density (g cm⁻³): 3.595

```
data_LiCu2F5
_cell_length_a 3.144
_cell_length_b 10.023
_cell_length_c 13.427
_cell_angle_alpha 90.00
_cell_angle_beta 90.00
_cell_angle_gamma 90.00
_space_group_name_H-M_alt 'P 1'
_space_group_IT_number 1
loop_
_space_group_symop_operation_xyz
'x,y,z'
loop_
_atom_site_label
_atom_site_type_symbol
_atom_site_fract_x
_atom_site_fract_y
_atom_site_fract_z
F1 F 0.276 0.623 0.209
F2 F 0.209 0.946 0.430
F3 F 0.776 0.123 0.291
Li1 Li 0.736 0.750 0.732
Cu1 Cu 0.726 0.090 0.927
Cu2 Cu 0.226 0.910 0.573
Cu3 Cu 0.274 0.910 0.073
F4 F 0.396 0.250 0.445
Li2 Li 0.236 0.250 0.768
F5 F 0.291 0.554 0.930
F6 F 0.724 0.377 0.791
Li3 Li 0.264 0.250 0.268
Cu4 Cu 0.226 0.590 0.573
Cu5 Cu 0.774 0.410 0.427
Cu6 Cu 0.274 0.590 0.073
F7 F 0.896 0.750 0.055
F8 F 0.224 0.623 0.709
F9 F 0.791 0.446 0.570
F10 F 0.224 0.877 0.709
Li4 Li 0.764 0.750 0.232
F11 F 0.291 0.946 0.930
F12 F 0.776 0.377 0.291
F13 F 0.724 0.123 0.791
Cu7 Cu 0.726 0.410 0.927
F14 F 0.209 0.554 0.430
F15 F 0.791 0.054 0.570
F16 F 0.276 0.877 0.209
F17 F 0.604 0.750 0.555
Cu8 Cu 0.774 0.090 0.427
F18 F 0.709 0.446 0.070
F19 F 0.104 0.250 0.945
F20 F 0.709 0.054 0.070
```



(two)
The following is a DFT calculation (GGA-PBE) of a geometry-optimized LiCu2F5 structure.

Symmetry: P4_2/nbc
Theoretical density (g cm⁻³): 2.461

```
data_LiCu2F5
_cell_length_a 10.030
_cell_length_b 10.030
_cell_length_c 12.288
_cell_angle_alpha 90.00
_cell_angle_beta 90.00
_cell_angle_gamma 90.00
_space_group_name_H-M_alt 'P 1'
_space_group_IT_number 1
loop_
_space_group_symop_operation_xyz
'x,y,z'
loop_
_atom_site_label
_atom_site_type_symbol
_atom_site_fract_x
_atom_site_fract_y
_atom_site_fract_z
Cu1 Cu 0.531 0.548 0.608
F1 F 0.697 0.869 0.140
F2 F 0.869 0.697 0.360
Li1 Li 0.250 0.250 0.250
F3 F 0.604 0.555 0.462
Cu2 Cu 0.048 0.031 0.108
F4 F 0.555 0.604 0.038
Cu3 Cu 0.469 0.452 0.392
Cu4 Cu 0.031 0.048 0.392
F5 F 0.697 0.631 0.860
Cu5 Cu 0.952 0.531 0.108
Li2 Li 0.750 0.750 0.000
F6 F 0.013 0.487 0.250
F7 F 0.631 0.697 0.640
Cu6 Cu 0.548 0.531 0.892
F8 F 0.131 0.303 0.640
F9 F 0.803 0.869 0.860
F10 F 0.303 0.131 0.860
F11 F 0.104 0.055 0.538
Li3 Li 0.250 0.250 0.750
F12 F 0.945 0.896 0.038
F13 F 0.896 0.945 0.462
Cu7 Cu 0.969 0.952 0.608
Li4 Li 0.750 0.750 0.750
F14 F 0.396 0.445 0.538
Cu8 Cu 0.548 0.969 0.108
Cu9 Cu 0.952 0.969 0.892
F15 F 0.987 0.513 0.750
Cu10 Cu 0.031 0.452 0.608
F16 F 0.055 0.104 0.962
F17 F 0.487 0.013 0.250
F18 F 0.869 0.803 0.640
F19 F 0.896 0.555 0.538
F20 F 0.445 0.104 0.038
F21 F 0.445 0.396 0.962
Cu11 Cu 0.531 0.952 0.392
F22 F 0.987 0.987 0.250
F23 F 0.197 0.369 0.860
F24 F 0.104 0.445 0.462
F25 F 0.369 0.197 0.640
Li5 Li 0.250 0.250 0.500
Li6 Li 0.750 0.750 0.500
F26 F 0.396 0.055 0.462
F27 F 0.303 0.369 0.140
Cu12 Cu 0.452 0.469 0.108
F28 F 0.131 0.197 0.360
F29 F 0.055 0.396 0.038
F30 F 0.631 0.803 0.360
Li7 Li 0.250 0.250 0.000
F31 F 0.197 0.131 0.140
F32 F 0.513 0.513 0.250
F33 F 0.555 0.896 0.962
F34 F 0.604 0.945 0.538
F35 F 0.013 0.013 0.750
Li8 Li 0.750 0.750 0.250
F36 F 0.369 0.303 0.360
Cu13 Cu 0.452 0.031 0.892
Cu14 Cu 0.048 0.469 0.892
F37 F 0.945 0.604 0.962
F38 F 0.803 0.631 0.140
Cu15 Cu 0.469 0.048 0.608
F39 F 0.513 0.987 0.750
F40 F 0.487 0.487 0.750
Cu16 Cu 0.969 0.548 0.392
```



Stability summary - winner: (one); margin: 0.005 eV/atom.



(one)
The following is a DFT calculation (GGA-PBE) of a geometry-optimized MgSi2 structure.

Symmetry: C2/m
Theoretical density (g cm⁻³): 2.577

```
data_MgSi2
_cell_length_a 5.143
_cell_length_b 5.143
_cell_length_c 10.538
_cell_angle_alpha 72.26
_cell_angle_beta 72.26
_cell_angle_gamma 52.30
_space_group_name_H-M_alt 'P 1'
_space_group_IT_number 1
loop_
_space_group_symop_operation_xyz
'x,y,z'
loop_
_atom_site_label
_atom_site_type_symbol
_atom_site_fract_x
_atom_site_fract_y
_atom_site_fract_z
Mg1 Mg 0.500 0.500 0.000
Mg2 Mg 0.574 0.574 0.263
Si1 Si 0.310 0.310 0.480
Si2 Si 0.106 0.106 0.823
Si3 Si 0.894 0.894 0.177
Si4 Si 0.179 0.179 0.028
Si5 Si 0.729 0.729 0.743
Si6 Si 0.821 0.821 0.972
Mg3 Mg 0.000 0.000 0.500
Si7 Si 0.271 0.271 0.257
Si8 Si 0.690 0.690 0.520
Mg4 Mg 0.426 0.426 0.737
```



(two)
The following is a DFT calculation (GGA-PBE) of a geometry-optimized MgSi2 structure.

Symmetry: P2/m
Theoretical density (g cm⁻³): 2.746

```
data_MgSi2
_cell_length_a 2.778
_cell_length_b 7.710
_cell_length_c 9.315
_cell_angle_alpha 77.32
_cell_angle_beta 90.00
_cell_angle_gamma 90.00
_space_group_name_H-M_alt 'P 1'
_space_group_IT_number 1
loop_
_space_group_symop_operation_xyz
'x,y,z'
loop_
_atom_site_label
_atom_site_type_symbol
_atom_site_fract_x
_atom_site_fract_y
_atom_site_fract_z
Mg1 Mg 0.000 0.854 0.139
Si1 Si 0.500 0.189 0.125
Si2 Si 0.500 0.532 0.126
Mg2 Mg 0.000 0.710 0.631
Si3 Si 0.500 0.955 0.379
Si4 Si 0.500 0.811 0.875
Si5 Si 0.500 0.468 0.874
Mg3 Mg 0.000 0.146 0.861
Mg4 Mg 0.000 0.290 0.369
Si6 Si 0.500 0.045 0.621
Si7 Si 0.500 0.617 0.383
Si8 Si 0.500 0.383 0.617
```



(three)
The following is a DFT calculation (GGA-PBE) of a geometry-optimized MgSi2 structure.

Symmetry: P-1
Theoretical density (g cm⁻³): 2.421

```
data_MgSi2
_cell_length_a 3.828
_cell_length_b 6.408
_cell_length_c 9.250
_cell_angle_alpha 76.70
_cell_angle_beta 89.03
_cell_angle_gamma 89.54
_space_group_name_H-M_alt 'P 1'
_space_group_IT_number 1
loop_
_space_group_symop_operation_xyz
'x,y,z'
loop_
_atom_site_label
_atom_site_type_symbol
_atom_site_fract_x
_atom_site_fract_y
_atom_site_fract_z
Mg1 Mg 0.244 0.004 0.852
Si1 Si 0.755 0.550 0.399
Si2 Si 0.738 0.330 0.891
Si3 Si 0.245 0.450 0.601
Si4 Si 0.236 0.569 0.844
Si5 Si 0.746 0.206 0.631
Mg2 Mg 0.256 0.208 0.374
Si6 Si 0.262 0.670 0.109
Mg3 Mg 0.744 0.792 0.626
Si7 Si 0.254 0.794 0.369
Si8 Si 0.764 0.431 0.156
Mg4 Mg 0.756 0.996 0.148
```



(four)
The following is a DFT calculation (GGA-PBE) of a geometry-optimized MgSi2 structure.

Theoretical density (g cm⁻³): 2.567

```
data_MgSi2
_cell_length_a 3.508
_cell_length_b 7.926
_cell_length_c 7.896
_cell_angle_alpha 89.19
_cell_angle_beta 77.21
_cell_angle_gamma 102.88
_space_group_name_H-M_alt 'P 1'
_space_group_IT_number 1
loop_
_space_group_symop_operation_xyz
'x,y,z'
loop_
_atom_site_label
_atom_site_type_symbol
_atom_site_fract_x
_atom_site_fract_y
_atom_site_fract_z
Mg1 Mg 0.089 0.485 0.895
Mg2 Mg 0.830 0.598 0.522
Si1 Si 0.083 0.782 0.203
Si2 Si 0.337 0.802 0.713
Si3 Si 0.583 0.282 0.703
Si4 Si 0.210 0.292 0.458
Mg3 Mg 0.330 0.098 0.022
Si5 Si 0.959 0.042 0.709
Si6 Si 0.459 0.542 0.209
Mg4 Mg 0.589 0.985 0.395
Si7 Si 0.837 0.302 0.213
Si8 Si 0.710 0.792 0.958
```



Stability summary - winner: (four); margin: 0.046 eV/atom.



(one)
The following is a DFT calculation (GGA-PBE) of a geometry-optimized MgSi2 structure.

Symmetry: R-3m
Theoretical density (g cm⁻³): 2.312

```
data_MgSi2
_cell_length_a 9.742
_cell_length_b 9.742
_cell_length_c 9.742
_cell_angle_alpha 22.19
_cell_angle_beta 22.19
_cell_angle_gamma 22.19
_space_group_name_H-M_alt 'P 1'
_space_group_IT_number 1
loop_
_space_group_symop_operation_xyz
'x,y,z'
loop_
_atom_site_label
_atom_site_type_symbol
_atom_site_fract_x
_atom_site_fract_y
_atom_site_fract_z
Si1 Si 0.815 0.815 0.815
Mg1 Mg 0.918 0.918 0.918
Si2 Si 0.185 0.185 0.185
Si3 Si 0.351 0.351 0.351
Si4 Si 0.649 0.649 0.649
Mg2 Mg 0.082 0.082 0.082
```



(two)
The following is a DFT calculation (GGA-PBE) of a geometry-optimized MgSi2 structure.

Symmetry: P1
Theoretical density (g cm⁻³): 2.435

```
data_MgSi2
_cell_length_a 3.634
_cell_length_b 5.994
_cell_length_c 10.580
_cell_angle_alpha 84.90
_cell_angle_beta 86.33
_cell_angle_gamma 73.14
_space_group_name_H-M_alt 'P 1'
_space_group_IT_number 1
loop_
_space_group_symop_operation_xyz
'x,y,z'
loop_
_atom_site_label
_atom_site_type_symbol
_atom_site_fract_x
_atom_site_fract_y
_atom_site_fract_z
Si1 Si 0.991 0.934 0.335
Si2 Si 0.979 0.889 0.914
Si3 Si 0.627 0.465 0.169
Mg1 Mg 0.668 0.505 0.904
Mg2 Mg 0.660 0.585 0.415
Mg3 Mg 0.318 0.127 0.083
Mg4 Mg 0.997 0.818 0.641
Si4 Si 0.372 0.202 0.339
Si5 Si 0.016 0.736 0.141
Si6 Si 0.388 0.122 0.824
Si7 Si 0.687 0.414 0.660
Si8 Si 0.297 0.204 0.575
```



Stability summary - winner: (one); margin: 0.044 eV/atom.



(one)
The following is a DFT calculation (GGA-PBE) of a geometry-optimized MgSi2 structure.

Symmetry: P1
Theoretical density (g cm⁻³): 2.552

```
data_MgSi2
_cell_length_a 5.894
_cell_length_b 7.493
_cell_length_c 10.230
_cell_angle_alpha 110.66
_cell_angle_beta 89.33
_cell_angle_gamma 97.54
_space_group_name_H-M_alt 'P 1'
_space_group_IT_number 1
loop_
_space_group_symop_operation_xyz
'x,y,z'
loop_
_atom_site_label
_atom_site_type_symbol
_atom_site_fract_x
_atom_site_fract_y
_atom_site_fract_z
Si1 Si 0.648 0.403 0.398
Si2 Si 0.276 0.103 0.130
Si3 Si 0.663 0.789 0.759
Si4 Si 0.498 0.359 0.882
Si5 Si 0.949 0.043 0.959
Mg1 Mg 0.405 0.406 0.634
Si6 Si 0.925 0.408 0.872
Mg2 Mg 0.145 0.070 0.724
Si7 Si 0.984 0.770 0.254
Mg3 Mg 0.668 0.445 0.148
Si8 Si 0.049 0.095 0.453
Si9 Si 0.178 0.425 0.060
Si10 Si 0.450 0.082 0.402
Mg4 Mg 0.787 0.070 0.214
Si11 Si 0.300 0.729 0.600
Si12 Si 0.918 0.766 0.488
Si13 Si 0.542 0.077 0.940
Mg5 Mg 0.923 0.470 0.625
Si14 Si 0.739 0.717 0.986
Si15 Si 0.374 0.776 0.175
Mg6 Mg 0.659 0.067 0.637
Si16 Si 0.526 0.729 0.391
Mg7 Mg 0.151 0.432 0.342
Mg8 Mg 0.225 0.736 0.896
```



(two)
The following is a DFT calculation (GGA-PBE) of a geometry-optimized MgSi2 structure.

Symmetry: Pnma
Theoretical density (g cm⁻³): 2.578

```
data_MgSi2
_cell_length_a 3.491
_cell_length_b 5.380
_cell_length_c 11.038
_cell_angle_alpha 90.00
_cell_angle_beta 90.00
_cell_angle_gamma 90.00
_space_group_name_H-M_alt 'P 1'
_space_group_IT_number 1
loop_
_space_group_symop_operation_xyz
'x,y,z'
loop_
_atom_site_label
_atom_site_type_symbol
_atom_site_fract_x
_atom_site_fract_y
_atom_site_fract_z
Si1 Si 0.250 0.050 0.250
Si2 Si 0.250 0.723 0.867
Si3 Si 0.750 0.277 0.133
Mg1 Mg 0.750 0.273 0.432
Mg2 Mg 0.750 0.773 0.068
Si4 Si 0.250 0.550 0.250
Si5 Si 0.750 0.450 0.750
Mg3 Mg 0.250 0.727 0.568
Si6 Si 0.750 0.950 0.750
Mg4 Mg 0.250 0.227 0.932
Si7 Si 0.750 0.777 0.367
Si8 Si 0.250 0.223 0.633
```



Stability summary - winner: (two); margin: 0.069 eV/atom.